(1)
{"formula": "Mn8Si8Mo3", "functional": "PBE-GGA", "state": "relaxed", "density_g_cm3": 6.72, "crystal_system": "orthorhombic", "cell": [[-2.201, 4.279, -0.520], [-3.346, -3.167, -11.906], [-12.967, -6.032, 5.249]], "species": ["Si", "Mo", "Mn", "Mo", "Si", "Mn", "Si", "Si", "Si", "Si", "Si", "Mn", "Mn", "Si", "Mn", "Mo", "Mo", "Mn", "Mo", "Si", "Si", "Mn", "Si", "Si", "Si", "Si", "Mn", "Mn", "Mn", "Mn", "Mn", "Si", "Mn", "Si", "Mn", "Si", "Mn", "Mn", "Si", "Mn", "Mo", "Mo", "Mn", "Mn", "Si", "Mn", "Mn", "Si", "Mo", "Si", "Si", "Mo", "Mn", "Mn", "Si", "Si", "Si", "Mn", "Si", "Si", "Mn", "Mo", "Si", "Mn", "Mn", "Mn", "Mo", "Mn", "Mo", "Mn", "Mn", "Si", "Si", "Mn", "Si", "Si"], "frac_coords": [[0.002, 0.714, 0.619], [0.750, 0.434, 0.304], [0.250, 0.622, 0.496], [0.250, 0.248, 0.528], [0.250, 0.210, 0.695], [0.250, 0.812, 0.249], [0.750, 0.290, 0.195], [0.750, 0.505, 0.747], [0.998, 0.786, 0.119], [0.750, 0.790, 0.305], [0.250, 0.995, 0.247], [0.488, 0.635, 0.326], [0.504, 0.940, 0.378], [0.250, 0.411, 0.801], [0.496, 0.560, 0.878], [0.750, 0.934, 0.196], [0.750, 0.635, 0.042], [0.750, 0.547, 0.593], [0.250, 0.865, 0.542], [0.750, 0.551, 0.440], [0.250, 0.911, 0.699], [0.004, 0.560, 0.878], [0.502, 0.286, 0.381], [0.250, 0.774, 0.397], [0.750, 0.448, 0.982], [0.750, 0.089, 0.301], [0.250, 0.312, 0.251], [0.250, 0.636, 0.156], [0.988, 0.865, 0.826], [0.750, 0.864, 0.656], [0.750, 0.364, 0.844], [0.750, 0.226, 0.603], [0.488, 0.135, 0.174], [0.498, 0.714, 0.619], [0.750, 0.047, 0.907], [0.250, 0.274, 0.103], [0.504, 0.440, 0.122], [0.988, 0.365, 0.674], [0.750, 0.005, 0.753], [0.750, 0.878, 0.996], [0.250, 0.566, 0.696], [0.750, 0.135, 0.458], [0.512, 0.365, 0.674], [0.512, 0.865, 0.826], [0.250, 0.449, 0.560], [0.496, 0.060, 0.622], [0.250, 0.953, 0.093], [0.250, 0.949, 0.940], [0.250, 0.748, 0.972], [0.002, 0.214, 0.881], [0.502, 0.786, 0.119], [0.750, 0.252, 0.028], [0.250, 0.122, 0.004], [0.012, 0.135, 0.174], [0.998, 0.286, 0.381], [0.750, 0.726, 0.897], [0.498, 0.214, 0.881], [0.996, 0.440, 0.122], [0.750, 0.051, 0.060], [0.250, 0.710, 0.805], [0.250, 0.453, 0.407], [0.250, 0.365, 0.958], [0.250, 0.495, 0.253], [0.750, 0.378, 0.504], [0.250, 0.136, 0.344], [0.996, 0.940, 0.378], [0.250, 0.066, 0.804], [0.012, 0.635, 0.326], [0.750, 0.752, 0.472], [0.750, 0.688, 0.749], [0.750, 0.188, 0.751], [0.750, 0.948, 0.518], [0.750, 0.589, 0.199], [0.004, 0.060, 0.622], [0.250, 0.552, 0.018], [0.250, 0.052, 0.482]]}

***

(2)
{"formula": "Na3Ca5TaS9O36", "functional": "PBE-GGA", "state": "relaxed", "density_g_cm3": 2.51, "crystal_system": "trigonal", "energy_corrected_mp2020_ev_per_atom": -6.9137, "cell": [[9.118, 0.000, 0.000], [-4.559, 7.896, 0.000], [0.000, 0.000, 24.134]], "species": ["O", "S", "O", "O", "S", "O", "O", "O", "Ca", "Ca", "S", "O", "S", "S", "O", "O", "O", "O", "O", "Na", "O", "Ca", "O", "O", "O", "Ta", "Ca", "O", "O", "O", "Na", "O", "S", "Ca", "O", "O", "Na", "S", "O", "O", "O", "S", "S", "Ca", "O", "O", "O", "S", "S", "O", "O", "O", "O", "O", "O", "O", "O", "Ca", "Na", "O", "O", "O", "O", "O", "O", "Na", "O", "S", "O", "O", "O", "O", "O", "O", "S", "O", "O", "O", "O", "Ta", "O", "O", "O", "O", "O", "O", "O", "S", "O", "O", "O", "O", "Na", "S", "Ca", "S", "O", "O", "O", "O", "S", "O", "Ca", "O", "Ca", "O", "S", "O"], "frac_coords": [[0.752, 0.799, 0.204], [0.669, 0.634, 0.583], [0.342, 0.849, 0.863], [0.320, 0.859, 0.964], [0.619, 0.955, 0.413], [0.219, 0.205, 0.803], [0.141, 0.680, 0.464], [0.515, 0.652, 0.581], [0.667, 0.333, 0.682], [0.000, 0.000, 0.651], [0.366, 0.331, 0.083], [0.450, 0.132, 0.533], [0.302, 0.310, 0.754], [0.335, 0.955, 0.913], [0.655, 0.118, 0.134], [0.786, 0.971, 0.406], [0.047, 0.248, 0.204], [0.823, 0.806, 0.586], [0.868, 0.550, 0.033], [0.333, 0.667, 0.656], [0.342, 0.493, 0.363], [0.333, 0.667, 0.020], [0.168, 0.487, 0.266], [0.029, 0.214, 0.906], [0.624, 0.118, 0.410], [0.333, 0.667, 0.817], [0.000, 0.000, 0.151], [0.868, 0.318, 0.533], [0.986, 0.781, 0.803], [0.865, 0.524, 0.749], [0.000, 0.000, 0.510], [0.168, 0.681, 0.766], [0.619, 0.665, 0.913], [0.000, 0.000, 0.350], [0.507, 0.658, 0.863], [0.882, 0.537, 0.134], [0.000, 0.000, 0.010], [0.008, 0.698, 0.754], [0.201, 0.248, 0.704], [0.219, 0.014, 0.303], [0.494, 0.376, 0.410], [0.366, 0.035, 0.583], [0.690, 0.992, 0.754], [0.000, 0.000, 0.850], [0.151, 0.493, 0.863], [0.185, 0.214, 0.406], [0.882, 0.506, 0.410], [0.045, 0.381, 0.913], [0.669, 0.035, 0.083], [0.795, 0.781, 0.303], [0.823, 0.017, 0.086], [0.882, 0.345, 0.634], [0.194, 0.017, 0.586], [0.795, 0.014, 0.803], [0.539, 0.680, 0.964], [0.047, 0.799, 0.704], [0.624, 0.506, 0.910], [0.333, 0.667, 0.520], [0.667, 0.333, 0.333], [0.983, 0.806, 0.086], [0.151, 0.658, 0.363], [0.137, 0.652, 0.081], [0.682, 0.132, 0.033], [0.450, 0.318, 0.033], [0.029, 0.815, 0.406], [0.333, 0.667, 0.156], [0.882, 0.376, 0.910], [0.965, 0.634, 0.083], [0.348, 0.863, 0.581], [0.185, 0.971, 0.906], [0.515, 0.863, 0.081], [0.141, 0.461, 0.964], [0.137, 0.485, 0.581], [0.682, 0.550, 0.533], [0.965, 0.331, 0.583], [0.513, 0.832, 0.766], [0.348, 0.485, 0.081], [0.494, 0.118, 0.910], [0.752, 0.953, 0.704], [0.333, 0.667, 0.317], [0.786, 0.815, 0.906], [0.983, 0.177, 0.586], [0.201, 0.953, 0.204], [0.539, 0.859, 0.464], [0.513, 0.681, 0.266], [0.320, 0.461, 0.464], [0.463, 0.345, 0.134], [0.008, 0.310, 0.254], [0.476, 0.341, 0.749], [0.659, 0.135, 0.749], [0.194, 0.177, 0.086], [0.986, 0.205, 0.303], [0.667, 0.333, 0.833], [0.302, 0.992, 0.254], [0.667, 0.333, 0.983], [0.045, 0.665, 0.413], [0.655, 0.537, 0.634], [0.659, 0.524, 0.249], [0.319, 0.832, 0.266], [0.476, 0.135, 0.249], [0.335, 0.381, 0.413], [0.507, 0.849, 0.363], [0.667, 0.333, 0.182], [0.865, 0.341, 0.249], [0.667, 0.333, 0.483], [0.319, 0.487, 0.766], [0.690, 0.698, 0.254], [0.463, 0.118, 0.634]]}

***

(3)
{"formula": "TbAl", "functional": "PBE-GGA", "state": "relaxed", "density_g_cm3": 6.54, "crystal_system": "cubic", "cell": [[3.614, 0.000, 0.000], [0.000, 3.614, 0.000], [0.000, 0.000, 3.614]], "species": ["Tb", "Al"], "frac_coords": [[0.500, 0.500, 0.500], [0.000, 0.000, 0.000]]}

***

(4)
{"formula": "MgZn4Ag5", "functional": "PBE-GGA", "state": "relaxed", "density_g_cm3": 8.20, "crystal_system": "tetragonal", "cell": [[-2.760, 0.175, -1.480], [0.698, -2.601, -1.608], [-7.132, -9.448, 12.183]], "species": ["Ag", "Zn", "Zn", "Ag", "Zn", "Ag", "Zn", "Mg", "Ag", "Ag"], "frac_coords": [[0.000, 0.000, 0.991], [0.500, 0.500, 0.305], [0.500, 0.500, 0.895], [0.000, 0.000, 0.209], [0.500, 0.500, 0.699], [0.000, 0.000, 0.403], [0.500, 0.500, 0.501], [0.500, 0.500, 0.100], [0.000, 0.000, 0.600], [0.000, 0.000, 0.797]]}

***

(5)
{"formula": "Cu2SnTe3", "functional": "PBE-GGA", "state": "relaxed", "density_g_cm3": 5.86, "crystal_system": "orthorhombic", "energy_corrected_mp2020_ev_per_atom": -3.9538, "cell": [[0.000, 6.171, 13.133], [4.397, 0.000, 13.133], [4.397, 6.171, 0.000]], "species": ["Te", "Cu", "Te", "Sn", "Cu", "Te", "Cu", "Te", "Cu", "Te", "Te", "Cu", "Sn", "Te", "Te", "Te", "Sn", "Te", "Sn", "Cu", "Te", "Te", "Cu", "Cu"], "frac_coords": [[0.693, 0.654, 0.887], [0.004, 0.662, 0.323], [0.157, 0.010, 0.949], [0.758, 0.404, 0.076], [0.416, 0.084, 0.416], [0.040, 0.972, 0.523], [0.166, 0.834, 0.166], [0.949, 0.884, 0.157], [0.588, 0.246, 0.239], [0.596, 0.557, 0.484], [0.278, 0.210, 0.785], [0.674, 0.326, 0.674], [0.846, 0.492, 0.488], [0.484, 0.363, 0.596], [0.366, 0.301, 0.240], [0.887, 0.766, 0.693], [0.076, 0.762, 0.758], [0.523, 0.465, 0.040], [0.488, 0.174, 0.846], [0.924, 0.576, 0.924], [0.785, 0.727, 0.278], [0.240, 0.093, 0.366], [0.239, 0.927, 0.588], [0.323, 0.011, 0.004]]}

***

(6)
{"formula": "Zr6Si7Ni16", "functional": "PBE-GGA", "state": "relaxed", "density_g_cm3": 7.38, "crystal_system": "cubic", "cell": [[5.404, 1.734, 5.806], [-1.811, -1.418, 7.787], [3.722, -6.002, 4.005]], "species": ["Ni", "Ni", "Zr", "Si", "Si", "Zr", "Si", "Ni", "Ni", "Ni", "Zr", "Ni", "Ni", "Ni", "Si", "Ni", "Ni", "Zr", "Ni", "Zr", "Ni", "Ni", "Si", "Si", "Zr", "Ni", "Si", "Ni", "Ni"], "frac_coords": [[0.169, 0.169, 0.169], [0.382, 0.382, 0.855], [0.793, 0.793, 0.207], [0.000, 0.500, 0.500], [0.500, 0.500, 0.500], [0.207, 0.793, 0.793], [0.500, 0.500, 0.000], [0.831, 0.507, 0.831], [0.618, 0.145, 0.618], [0.169, 0.169, 0.493], [0.207, 0.793, 0.207], [0.618, 0.618, 0.618], [0.169, 0.493, 0.169], [0.855, 0.382, 0.382], [0.000, 0.500, 0.000], [0.831, 0.831, 0.831], [0.493, 0.169, 0.169], [0.207, 0.207, 0.793], [0.507, 0.831, 0.831], [0.793, 0.207, 0.207], [0.382, 0.382, 0.382], [0.831, 0.831, 0.507], [0.000, 0.000, 0.500], [0.500, 0.000, 0.000], [0.793, 0.207, 0.793], [0.382, 0.855, 0.382], [0.500, 0.000, 0.500], [0.145, 0.618, 0.618], [0.618, 0.618, 0.145]]}

***

Calculated ΔH_f (0 K) in order - -0.426 -2.447 -0.391 -0.095 -0.347 -0.766 eV per atom
Calculated DFT total energy in order - -629.3 -697.2 -9.2 -21.8 -89.8 -204.0 eV/cell